1.
A plane-wave DFT calculation with r²SCAN was carried out for a geometry-optimized Sr3Ca structure.

Cell lengths 5.9854, 5.9854, 11.9134 Å; angles 90.00, 90.00, 90.00 degrees
Space group I4/mmm (No. 139)
Unique sites:
Sr 0.0000 0.0000 0.0000 x2
Sr 0.0000 0.5000 0.2500 x4
Ca 0.0000 0.0000 0.5000 x2

=====

2.
A plane-wave DFT calculation with r²SCAN was carried out for a geometry-optimized MgAl2Cl8 structure.

Cell lengths 17.0758, 8.0466, 11.6627 Å; angles 90.00, 130.64, 90.00 degrees
Space group C2/c (No. 15)
Unique sites:
Mg 0.0000 0.0021 0.2500 x4
Al 0.0864 0.2484 0.0335 x8
Cl 0.0687 0.2212 0.6818 x8
Cl 0.0873 0.2302 0.2201 x8
Cl 0.1566 0.0295 0.0229 x8
Cl 0.1569 0.4709 0.0519 x8

=====

Number 1: density 2.36 g/cm³, E_tot -104.59 eV per cell. Number 2: density 1.98 g/cm³, E_tot -346.56 eV per cell.